Entry 1:
First-principles (PBE with a Hubbard U) data for YCo3Se2ClO8 after structural relaxation, as listed in the Materials Project.

Cell lengths 6.405, 7.232, 9.660 Å; angles 90.00, 90.00, 90.00 degrees
Atoms (fractional coordinates):
O: 0.500 0.576 0.631
O: 0.789 0.264 0.339
Se: 0.500 0.590 0.811
Y: 0.000 0.737 0.000
Co: 0.750 0.000 0.250
O: 0.500 0.576 0.369
Co: 0.250 0.000 0.750
O: 0.789 0.264 0.661
Se: 0.000 0.410 0.689
O: 0.711 0.736 0.839
Se: 0.000 0.410 0.311
Co: 0.000 0.206 0.000
O: 0.289 0.736 0.839
O: 0.211 0.264 0.339
Se: 0.500 0.590 0.189
O: 0.500 0.000 0.636
O: 0.500 0.000 0.364
O: 0.711 0.736 0.161
O: 0.289 0.736 0.161
Co: 0.250 0.000 0.250
Cl: 0.500 0.139 0.000
Cl: 0.000 0.861 0.500
O: 0.000 0.000 0.864
Co: 0.750 0.000 0.750
O: 0.211 0.264 0.661
O: 0.000 0.000 0.136
Co: 0.500 0.794 0.500
Y: 0.500 0.263 0.500
O: 0.000 0.424 0.869
O: 0.000 0.424 0.131

Output
energy of formation: -1.585 eV per atom
magnetization: 2.0 μB per cell
total energy: -179.17 eV/cell

=====

Entry 2:
First-principles (PBE with a Hubbard U) data for Sr2CoCl2O2 after structural relaxation, as listed in the Materials Project.

Cell lengths 8.212, 8.067, 9.286 Å; angles 115.75, 82.88, 75.79 degrees
Atoms (fractional coordinates):
Sr: 0.212 0.045 0.697
O: 0.000 0.128 0.256
Cl: 0.641 0.635 0.090
Sr: 0.787 0.955 0.303
Cl: 0.357 0.616 0.410
Cl: 0.359 0.115 0.410
Co: 0.000 0.000 0.001
O: 0.000 0.622 0.244
O: 0.000 0.503 0.499
O: 0.000 0.247 0.001
Sr: 0.787 0.203 0.803
Co: 0.000 0.750 0.499
Co: 0.000 0.500 0.000
Cl: 0.641 0.385 0.589
Co: 0.000 0.250 0.500
Cl: 0.357 0.867 0.911
O: 0.000 0.997 0.500
Sr: 0.213 0.295 0.197
O: 0.000 0.375 0.750
O: 0.000 0.875 0.750
Cl: 0.359 0.365 0.911
Sr: 0.788 0.705 0.803
Sr: 0.787 0.455 0.303
O: 0.000 0.753 0.000
Sr: 0.213 0.546 0.697
Cl: 0.643 0.134 0.089
Sr: 0.213 0.795 0.197
Cl: 0.643 0.884 0.589

Output
energy of formation: -2.333 eV per atom
magnetization: 0.0 μB per cell
energy above the lowest structure with this stoichiometry: 0.007 eV/atom
total energy: -149.61 eV/cell

=====

Entry 3:
First-principles (PBE with a Hubbard U) data for Sr2CoCl2O2 after structural relaxation, as listed in the Materials Project.

Cell lengths 5.776, 8.259, 5.776 Å; angles 110.48, 90.11, 89.95 degrees
Atoms (fractional coordinates):
Cl: 0.000 0.642 0.821
Sr: 0.500 0.214 0.107
O: 0.250 0.000 0.750
Sr: 0.500 0.786 0.893
O: 0.750 0.000 0.250
Cl: 0.500 0.642 0.321
Sr: 0.000 0.214 0.606
Cl: 0.000 0.358 0.179
O: 0.250 0.000 0.250
Co: 0.500 0.000 0.500
Sr: 0.000 0.786 0.394
Co: 0.000 0.000 0.000
O: 0.750 0.000 0.750
Cl: 0.500 0.358 0.679

Output
energy of formation: -2.340 eV per atom
energy above the lowest structure with this stoichiometry: 0.000 eV/atom
total energy: -74.90 eV/cell

=====

Entry 4:
First-principles (PBE with a Hubbard U) data for Sr2CoCl2O2 after structural relaxation, as listed in the Materials Project.

Cell lengths 5.795, 10.043, 10.042 Å; angles 79.66, 106.15, 73.84 degrees
Atoms (fractional coordinates):
O: 0.378 0.374 0.626
Cl: 0.250 0.070 0.570
Cl: 0.750 0.927 0.428
Cl: 0.999 0.821 0.821
Co: 0.751 0.750 0.250
Co: 0.251 0.249 0.751
Sr: 0.497 0.107 0.106
Cl: 0.750 0.572 0.073
Cl: 0.999 0.179 0.179
O: 0.136 0.622 0.378
O: 0.875 0.375 0.625
Cl: 0.501 0.680 0.679
Sr: 0.250 0.644 0.143
Sr: 0.250 0.857 0.356
O: 0.625 0.124 0.876
Sr: 0.004 0.605 0.608
Co: 0.502 0.501 0.499
Co: 0.997 0.000 0.000
Sr: 0.749 0.144 0.643
Sr: 0.497 0.894 0.893
O: 0.364 0.878 0.122
O: 0.123 0.126 0.874
Sr: 0.749 0.357 0.856
Sr: 0.004 0.392 0.395
Cl: 0.501 0.321 0.320
O: 0.630 0.627 0.373
O: 0.870 0.873 0.127
Cl: 0.250 0.429 0.930

Output
energy of formation: -2.318 eV per atom
magnetization: 0.0 μB per cell
energy above the lowest structure with this stoichiometry: 0.022 eV/atom
total energy: -149.18 eV/cell

=====

Entry 5:
First-principles (PBE with a Hubbard U) data for Sr8Co6Cl4O15 after structural relaxation, as listed in the Materials Project.

Cell lengths 16.083, 16.083, 5.529 Å; angles 89.94, 89.94, 160.20 degrees
Atoms (fractional coordinates):
Co: 0.126 0.367 0.747
O: 0.500 0.500 0.000
O: 0.285 0.169 0.727
Cl: 0.534 0.966 0.250
Sr: 0.570 0.928 0.751
O: 0.500 0.500 0.500
Sr: 0.808 0.679 0.757
O: 0.628 0.372 0.500
O: 0.000 0.000 0.000
Cl: 0.034 0.466 0.750
O: 0.375 0.625 0.000
Sr: 0.072 0.430 0.249
O: 0.871 0.129 0.500
Sr: 0.192 0.321 0.243
O: 0.128 0.872 0.000
Co: 0.633 0.874 0.253
Sr: 0.430 0.072 0.249
Sr: 0.928 0.570 0.751
Co: 0.263 0.263 0.763
O: 0.831 0.715 0.273
Sr: 0.321 0.192 0.243
Co: 0.367 0.126 0.747
Co: 0.874 0.633 0.253
Sr: 0.679 0.808 0.757
Co: 0.737 0.737 0.237
O: 0.872 0.128 0.000
Cl: 0.966 0.534 0.250
O: 0.169 0.285 0.727
O: 0.372 0.628 0.500
O: 0.129 0.871 0.500
O: 0.715 0.831 0.273
Cl: 0.466 0.034 0.750
O: 0.625 0.375 0.000

Output
energy of formation: -2.042 eV per atom
magnetization: 0.0 μB per cell
total energy: -185.03 eV/cell

=====

Entry 6:
First-principles (PBE with a Hubbard U) data for SrCo2Te3Cl2O8 after structural relaxation, as listed in the Materials Project.

Cell lengths 9.177, 6.707, 19.465 Å; angles 74.18, 90.00, 90.00 degrees
Atoms (fractional coordinates):
O: 0.477 0.896 0.678
O: 0.929 0.506 0.176
Te: 0.290 0.451 0.106
Cl: 0.896 0.254 0.052
Co: 0.756 0.063 0.324
Te: 0.892 0.091 0.637
O: 0.233 0.837 0.294
Cl: 0.604 0.254 0.552
O: 0.521 0.093 0.797
O: 0.310 0.237 0.675
O: 0.071 0.494 0.824
Cl: 0.396 0.746 0.448
Te: 0.927 0.777 0.112
Te: 0.573 0.777 0.612
O: 0.690 0.763 0.325
Co: 0.543 0.190 0.681
O: 0.767 0.163 0.706
Co: 0.244 0.937 0.676
O: 0.984 0.628 0.359
O: 0.262 0.642 0.161
O: 0.979 0.093 0.297
Sr: 0.619 0.514 0.228
O: 0.977 0.104 0.822
O: 0.238 0.642 0.661
Te: 0.790 0.549 0.394
Te: 0.427 0.223 0.388
Cl: 0.104 0.746 0.948
Cl: 0.319 0.090 0.048
O: 0.267 0.837 0.794
O: 0.016 0.372 0.641
Co: 0.744 0.063 0.824
Co: 0.043 0.810 0.819
O: 0.769 0.818 0.641
Te: 0.392 0.909 0.863
O: 0.516 0.628 0.859
O: 0.023 0.896 0.178
O: 0.231 0.182 0.359
O: 0.021 0.907 0.703
O: 0.571 0.506 0.676
Cl: 0.681 0.910 0.952
O: 0.479 0.907 0.203
O: 0.523 0.104 0.322
O: 0.738 0.358 0.839
Te: 0.073 0.223 0.888
Co: 0.256 0.937 0.176
O: 0.731 0.818 0.141
O: 0.484 0.372 0.141
Te: 0.608 0.091 0.137
Cl: 0.819 0.910 0.452
O: 0.762 0.358 0.339
Te: 0.210 0.451 0.606
Sr: 0.881 0.514 0.728
Sr: 0.381 0.486 0.772
O: 0.733 0.163 0.206
Te: 0.108 0.909 0.363
Te: 0.710 0.549 0.894
O: 0.190 0.237 0.175
Sr: 0.119 0.486 0.272
Co: 0.457 0.810 0.319
O: 0.269 0.182 0.859
Cl: 0.181 0.090 0.548
O: 0.810 0.763 0.825
Co: 0.957 0.190 0.181
O: 0.429 0.494 0.324

Output
energy of formation: -1.671 eV per atom
magnetization: 24.0 μB per cell
total energy: -346.31 eV/cell

=====

Entry 7:
First-principles (PBE with a Hubbard U) data for Cs2CrH8Cl5O4 after structural relaxation, as listed in the Materials Project.

Cell lengths 10.318, 10.318, 14.362 Å; angles 62.89, 62.89, 35.22 degrees
Atoms (fractional coordinates):
H: 0.595 0.209 0.500
Cl: 0.708 0.681 0.429
H: 0.275 0.676 0.884
Cl: 0.514 0.486 0.750
Cl: 0.110 0.105 0.330
Cr: 0.000 0.000 0.000
Cs: 0.714 0.687 0.173
Cl: 0.292 0.319 0.571
O: 0.188 0.717 0.455
Cl: 0.486 0.514 0.250
H: 0.725 0.324 0.116
H: 0.209 0.595 0.000
H: 0.676 0.275 0.384
O: 0.730 0.163 0.450
Cl: 0.890 0.895 0.670
Cs: 0.313 0.286 0.327
O: 0.283 0.812 0.045
O: 0.163 0.730 0.950
H: 0.405 0.791 0.500
H: 0.302 0.754 0.121
O: 0.717 0.188 0.955
Cl: 0.319 0.292 0.071
H: 0.601 0.198 0.999
H: 0.698 0.246 0.879
H: 0.246 0.698 0.379
O: 0.837 0.270 0.050
O: 0.812 0.283 0.545
O: 0.270 0.837 0.550
H: 0.754 0.302 0.621
H: 0.198 0.601 0.499
Cs: 0.286 0.313 0.827
Cr: 0.000 0.000 0.500
H: 0.802 0.399 0.501
Cl: 0.895 0.890 0.170
H: 0.399 0.802 0.001
Cl: 0.105 0.110 0.830
Cs: 0.687 0.714 0.673
H: 0.324 0.725 0.616
H: 0.791 0.405 0.000
Cl: 0.681 0.708 0.929

Output
energy of formation: -1.408 eV per atom
magnetization: 6.0 μB per cell
total energy: -182.07 eV/cell

=====

Entry 8:
First-principles (PBE with a Hubbard U) data for ZnCrH15N5Cl4F after structural relaxation, as listed in the Materials Project.

Cell lengths 9.640, 9.640, 9.174 Å; angles 90.00, 90.00, 130.78 degrees
Atoms (fractional coordinates):
Zn: 0.111 0.889 0.478
H: 0.720 0.861 0.707
N: 0.475 0.149 0.969
H: 0.578 0.218 0.314
N: 0.685 0.315 0.248
H: 0.567 0.131 0.946
H: 0.143 0.419 0.372
N: 0.851 0.525 0.969
H: 0.961 0.627 0.031
Cl: 0.087 0.391 0.088
H: 0.260 0.740 0.707
H: 0.663 0.618 0.294
N: 0.642 0.722 0.693
H: 0.279 0.296 0.137
Cl: 0.984 0.016 0.435
H: 0.704 0.721 0.137
Cl: 0.609 0.913 0.088
Cl: 0.821 0.179 0.756
N: 0.149 0.475 0.469
Cr: 0.601 0.399 0.079
F: 0.524 0.476 0.929
H: 0.861 0.720 0.207
H: 0.627 0.961 0.531
H: 0.433 0.869 0.446
H: 0.857 0.581 0.872
N: 0.722 0.642 0.193
H: 0.218 0.578 0.814
H: 0.422 0.782 0.814
Cl: 0.913 0.609 0.588
H: 0.337 0.382 0.794
H: 0.618 0.663 0.794
H: 0.721 0.704 0.637
N: 0.525 0.851 0.469
H: 0.382 0.337 0.294
H: 0.131 0.567 0.446
F: 0.476 0.524 0.429
N: 0.315 0.685 0.748
H: 0.419 0.143 0.872
Cl: 0.016 0.984 0.935
H: 0.296 0.279 0.637
H: 0.039 0.373 0.531
H: 0.581 0.857 0.372
H: 0.373 0.039 0.031
H: 0.740 0.260 0.207
H: 0.280 0.139 0.207
H: 0.869 0.433 0.946
Zn: 0.889 0.111 0.978
Cr: 0.399 0.601 0.579
N: 0.358 0.278 0.193
Cl: 0.179 0.821 0.256
N: 0.278 0.358 0.693
Cl: 0.391 0.087 0.588
H: 0.139 0.280 0.707
H: 0.782 0.422 0.314

Output
energy of formation: -0.748 eV per atom
magnetization: 6.0 μB per cell
total energy: -261.07 eV/cell

=====

Which value of energy of formation does entry 1 give? -1.585 eV per atom

=====

Copy entry 6 word for word.
First-principles (PBE with a Hubbard U) data for SrCo2Te3Cl2O8 after structural relaxation, as listed in the Materials Project.

Cell lengths 9.177, 6.707, 19.465 Å; angles 74.18, 90.00, 90.00 degrees
Atoms (fractional coordinates):
O: 0.477 0.896 0.678
O: 0.929 0.506 0.176
Te: 0.290 0.451 0.106
Cl: 0.896 0.254 0.052
Co: 0.756 0.063 0.324
Te: 0.892 0.091 0.637
O: 0.233 0.837 0.294
Cl: 0.604 0.254 0.552
O: 0.521 0.093 0.797
O: 0.310 0.237 0.675
O: 0.071 0.494 0.824
Cl: 0.396 0.746 0.448
Te: 0.927 0.777 0.112
Te: 0.573 0.777 0.612
O: 0.690 0.763 0.325
Co: 0.543 0.190 0.681
O: 0.767 0.163 0.706
Co: 0.244 0.937 0.676
O: 0.984 0.628 0.359
O: 0.262 0.642 0.161
O: 0.979 0.093 0.297
Sr: 0.619 0.514 0.228
O: 0.977 0.104 0.822
O: 0.238 0.642 0.661
Te: 0.790 0.549 0.394
Te: 0.427 0.223 0.388
Cl: 0.104 0.746 0.948
Cl: 0.319 0.090 0.048
O: 0.267 0.837 0.794
O: 0.016 0.372 0.641
Co: 0.744 0.063 0.824
Co: 0.043 0.810 0.819
O: 0.769 0.818 0.641
Te: 0.392 0.909 0.863
O: 0.516 0.628 0.859
O: 0.023 0.896 0.178
O: 0.231 0.182 0.359
O: 0.021 0.907 0.703
O: 0.571 0.506 0.676
Cl: 0.681 0.910 0.952
O: 0.479 0.907 0.203
O: 0.523 0.104 0.322
O: 0.738 0.358 0.839
Te: 0.073 0.223 0.888
Co: 0.256 0.937 0.176
O: 0.731 0.818 0.141
O: 0.484 0.372 0.141
Te: 0.608 0.091 0.137
Cl: 0.819 0.910 0.452
O: 0.762 0.358 0.339
Te: 0.210 0.451 0.606
Sr: 0.881 0.514 0.728
Sr: 0.381 0.486 0.772
O: 0.733 0.163 0.206
Te: 0.108 0.909 0.363
Te: 0.710 0.549 0.894
O: 0.190 0.237 0.175
Sr: 0.119 0.486 0.272
Co: 0.457 0.810 0.319
O: 0.269 0.182 0.859
Cl: 0.181 0.090 0.548
O: 0.810 0.763 0.825
Co: 0.957 0.190 0.181
O: 0.429 0.494 0.324

Output
energy of formation: -1.671 eV per atom
magnetization: 24.0 μB per cell
total energy: -346.31 eV/cell

=====

What is the energy of formation in the eighth record? -0.748 eV per atom